No. 1
VASP calculation (PBE+U) on Li3MnCr4O8 after structural relaxation.

total magnetization	36.0	μB per cell
formation energy	-214	kJ/mol of atoms

Cell: 10.6397 5.9530 5.9221 Å, 90.00 123.50 90.00°
With the nearest neighbours (Å) after each atom.
Space group C2/m (No. 12)
Unique sites:
Li: 0.0000 0.0000 0.0000  6 O 2.06-2.25
Li: 0.2500 0.2500 0.0000  6 O 2.16-2.36
Mn: 0.0000 0.5000 0.5000  6 O 2.15-2.19
Cr: 0.0000 0.0000 0.5000  6 O 2.06-2.08
Cr: 0.0000 0.5000 0.0000  6 O 2.13-2.38
Cr: 0.2500 0.2500 0.5000  6 O 2.03-2.07
O: 0.0164 0.2422 0.2642  1 Li 2.06, 3 Cr 2.07-2.13, 1 Mn 2.15
O: 0.2320 0.0000 0.7200  3 Cr 2.06, 2 Li 2.16
O: 0.2469 0.5000 0.7308  2 Cr 2.03, 3 Li 2.17-2.25, 1 Mn 2.19



No. 2
VASP calculation (PBE+U) on Na3MnO3 after structural relaxation.

total magnetization	96.0	μB per cell
formation energy	-169	kJ/mol of atoms
E above lowest polymorph	0.019	eV/atom

Cell: 11.3192 12.1057 16.9374 Å, 90.00 90.00 90.00°
With the nearest neighbours (Å) after each atom.
Space group Cmce (No. 64)
Unique sites:
Na: 0.0000 0.0268 0.2241  4 O 2.39-2.50, 1 Na 2.57
Na: 0.0000 0.1734 0.7248  6 O 2.46-2.66, 1 Na 2.57
Na: 0.1663 0.1781 0.3092  4 O 2.33-2.43
Na: 0.2079 0.1797 0.5712  5 O 2.41-2.69
Na: 0.2123 0.0296 0.0866  5 O 2.33-2.57
Na: 0.2500 0.0802 0.7500  4 O 2.28-2.29
Mn: 0.0000 0.0015 0.4142  4 O 1.88-1.97
Mn: 0.0000 0.1527 0.9203  4 O 1.88-1.97
Mn: 0.0000 0.1728 0.0923  4 O 1.91-1.95
O: 0.1150 0.1620 0.0071  2 Mn 1.95-1.97
O: 0.1171 0.0000 0.5000  2 Mn 1.97
O: 0.1202 0.0055 0.6625  1 Mn 1.88
O: 0.1212 0.1398 0.8449  1 Mn 1.88
O: 0.1234 0.1794 0.1687  1 Mn 1.91



Calculated volume for every record listed, in sequence, given in A^3/atom: 9.8, 13.8.